# Th5Sn3 (PBE, optimized geometry)
data_Th5Sn3
_cell_length_a 9.4381
_cell_length_b 9.4381
_cell_length_c 6.4614
_cell_angle_alpha 90.00
_cell_angle_beta 90.00
_cell_angle_gamma 120.00
_space_group_name_H-M_alt 'P 63/m c m'
_space_group_IT_number 193
_space_group_name_Hall '-P 6c 2'
loop_
_atom_site_label
_atom_site_type_symbol
_atom_site_fract_x
_atom_site_fract_y
_atom_site_fract_z
_atom_site_occupancy
Th1 Th 0.0000 0.2526 0.2500 1
Th2 Th 0.3333 0.6667 0.0000 1
Sn1 Sn 0.0000 0.3887 0.7500 1
# Formation energy ... -11.00 kcal/mol of atoms